(1)
Na6Si5Sn4SO24 | PBE | relaxed

a b c (Å): 9.052 9.051 22.681
angles (deg): 90.12 89.49 119.99
Fractional coordinates of all 120 atoms:
O 0.482 0.363 0.144
Na 0.333 0.025 0.417
O 0.040 0.829 0.692
O 0.485 0.170 0.244
Na 0.660 0.318 0.834
O 0.172 0.478 0.256
O 0.835 0.040 0.807
O 0.186 0.025 0.588
Si 0.036 0.665 0.417
Na 0.998 0.365 0.750
O 0.013 0.177 0.913
Na 0.039 0.337 0.085
Sn 0.666 0.342 0.185
O 0.307 0.453 0.470
Si 0.962 0.333 0.584
O 0.151 0.447 0.976
O 0.218 0.169 0.805
O 0.496 0.123 0.641
Si 0.955 0.628 0.082
O 0.821 0.985 0.413
Sn 0.012 0.013 0.852
O 0.505 0.152 0.922
O 0.180 0.202 0.412
Na 0.365 0.365 0.247
O 0.836 0.284 0.528
O 0.828 0.307 0.243
S 0.333 0.373 0.417
O 0.157 0.703 0.475
O 0.698 0.150 0.031
O 0.959 0.165 0.306
O 0.828 0.520 0.746
O 0.460 0.298 0.026
O 0.706 0.538 0.527
O 0.547 0.846 0.476
O 0.217 0.048 0.311
O 0.515 0.685 0.257
Na 0.301 0.332 0.586
Na 0.635 0.634 0.748
O 0.359 0.478 0.363
O 0.628 0.144 0.421
Si 0.999 0.288 0.249
Si 0.709 0.999 0.751
Si 0.377 0.046 0.583
O 0.543 0.693 0.970
Na 0.000 0.635 0.251
O 0.645 0.515 0.921
O 0.624 0.508 0.643
O 0.169 0.691 0.754
Sn 0.660 0.328 0.981
O 0.176 0.173 0.087
Na 0.032 0.701 0.583
O 0.635 0.111 0.138
Na 0.368 0.003 0.751
Sn 0.669 0.335 0.685
O 0.038 0.211 0.189
Sn 0.336 0.677 0.519
O 0.823 0.028 0.088
O 0.836 0.813 0.588
O 0.969 0.815 0.087
O 0.688 0.520 0.245
O 0.152 0.503 0.576
O 0.831 0.782 0.306
O 0.843 0.539 0.023
S 0.665 0.037 0.084
Si 0.374 0.336 0.083
O 0.118 0.490 0.858
Na 0.637 0.001 0.252
Sn 0.326 0.670 0.815
O 0.782 0.957 0.691
Sn 0.000 0.000 0.649
Si 0.336 0.962 0.917
O 0.485 0.314 0.744
S 0.625 0.668 0.917
O 0.144 0.640 0.080
O 0.787 0.838 0.192
Si 0.294 0.002 0.252
Na 0.985 0.991 0.498
O 0.357 0.510 0.077
Si 0.631 0.963 0.417
O 0.957 0.789 0.810
Sn 0.987 0.988 0.351
Sn 0.010 0.995 0.148
O 0.878 0.502 0.141
Na 0.334 0.666 0.165
Na 0.334 0.667 0.667
O 0.370 0.883 0.856
O 0.510 0.879 0.358
Si 0.998 0.710 0.751
O 0.300 0.835 0.973
Si 0.666 0.624 0.583
Si 0.296 0.296 0.749
O 0.513 0.867 0.076
O 0.039 0.850 0.412
Sn 0.681 0.334 0.482
Si 0.035 0.366 0.917
O 0.797 0.819 0.912
O 0.889 0.380 0.643
Na 0.976 0.667 0.917
Sn 0.330 0.672 0.315
O 0.314 0.832 0.255
O 0.520 0.826 0.757
O 0.456 0.166 0.524
O 0.316 0.486 0.757
Si 0.708 0.710 0.249
O 0.492 0.639 0.576
O 0.689 0.169 0.745
O 0.846 0.497 0.420
O 0.852 0.367 0.923
O 0.486 0.355 0.421
O 0.119 0.631 0.357
O 0.153 0.960 0.912
O 0.980 0.162 0.589
O 0.176 0.221 0.690
Na 0.670 0.968 0.583
Na 0.682 0.340 0.335
O 0.357 0.855 0.579
O 0.169 0.954 0.195
Na 0.017 0.007 0.000
O 0.522 0.641 0.862
Sn 0.316 0.657 0.019

(2)
CaSbPd | PBE | relaxed

a b c (Å): 4.681 7.405 7.978
angles (deg): 90.00 90.00 90.00
Fractional coordinates of all 12 atoms:
Ca 0.250 0.995 0.297
Pd 0.750 0.816 0.079
Pd 0.250 0.184 0.921
Pd 0.750 0.316 0.421
Sb 0.750 0.699 0.406
Ca 0.750 0.505 0.797
Ca 0.250 0.495 0.203
Ca 0.750 0.005 0.703
Sb 0.750 0.199 0.094
Sb 0.250 0.301 0.594
Pd 0.250 0.684 0.579
Sb 0.250 0.801 0.906

(3)
BaNaCeNbO6 | PBE | relaxed

Values from the calculation:
energy above the lowest structure with this stoichiometry	0.007	eV per atom

a b c (Å): 6.028 6.028 6.028
angles (deg): 60.00 60.00 60.00
Fractional coordinates of all 10 atoms:
O 0.263 0.737 0.263
O 0.263 0.263 0.737
O 0.737 0.263 0.737
Ce 0.000 0.000 0.000
O 0.737 0.263 0.263
O 0.263 0.737 0.737
Ba 0.250 0.250 0.250
Nb 0.500 0.500 0.500
Na 0.750 0.750 0.750
O 0.737 0.737 0.263

(4)
PrSiPd | PBE | relaxed

a b c (Å): 5.900 7.914 10.915
angles (deg): 88.27 90.00 90.00
Fractional coordinates of all 24 atoms:
Si 0.133 0.465 0.423
Pd 0.108 0.178 0.331
Pd 0.600 0.337 0.052
Si 0.367 0.965 0.423
Pr 0.634 0.034 0.857
Si 0.142 0.876 0.857
Pr 0.868 0.826 0.371
Pd 0.608 0.322 0.669
Si 0.633 0.035 0.577
Pr 0.366 0.966 0.143
Pr 0.368 0.674 0.629
Pr 0.632 0.326 0.371
Pd 0.400 0.663 0.948
Pd 0.892 0.822 0.669
Pd 0.900 0.837 0.052
Pr 0.134 0.466 0.143
Pd 0.100 0.163 0.948
Si 0.867 0.535 0.577
Pr 0.132 0.174 0.629
Si 0.858 0.124 0.143
Si 0.642 0.624 0.143
Pd 0.392 0.678 0.331
Si 0.358 0.376 0.857
Pr 0.866 0.534 0.857

(5)
AlH6C2SeCl3 | PBE | relaxed

a b c (Å): 6.607 11.011 13.427
angles (deg): 90.00 90.00 90.00
Fractional coordinates of all 52 atoms:
C 0.842 0.616 0.638
H 0.910 0.125 0.788
H 0.044 0.879 0.079
C 0.158 0.116 0.362
C 0.842 0.384 0.862
Al 0.438 0.250 0.558
Se 0.648 0.250 0.873
Se 0.352 0.250 0.373
Cl 0.684 0.586 0.382
H 0.090 0.375 0.288
Cl 0.762 0.750 0.934
Se 0.648 0.750 0.627
H 0.090 0.625 0.212
H 0.956 0.621 0.579
C 0.158 0.884 0.138
H 0.910 0.875 0.712
H 0.956 0.121 0.921
C 0.158 0.384 0.362
Al 0.438 0.750 0.942
C 0.842 0.884 0.638
Al 0.562 0.750 0.442
Cl 0.684 0.914 0.382
H 0.956 0.879 0.579
Cl 0.316 0.914 0.882
Cl 0.238 0.750 0.434
Cl 0.684 0.414 0.118
H 0.044 0.621 0.079
H 0.755 0.032 0.868
H 0.956 0.379 0.921
Cl 0.316 0.586 0.882
H 0.044 0.121 0.421
H 0.044 0.379 0.421
Cl 0.762 0.250 0.566
H 0.245 0.968 0.132
C 0.158 0.616 0.138
H 0.245 0.468 0.368
Al 0.562 0.250 0.058
H 0.910 0.625 0.712
H 0.245 0.032 0.368
C 0.842 0.116 0.862
Cl 0.684 0.086 0.118
H 0.755 0.968 0.632
H 0.090 0.125 0.288
H 0.755 0.532 0.632
Cl 0.316 0.414 0.618
H 0.090 0.875 0.212
H 0.245 0.532 0.132
Cl 0.238 0.250 0.066
H 0.910 0.375 0.788
H 0.755 0.468 0.868
Se 0.352 0.750 0.127
Cl 0.316 0.086 0.618

(6)
K3B6BrO10 | PBE | relaxed

Values from the calculation:
piezoelectric modulus e_max	0.4	C/m2

a b c (Å): 6.626 6.626 6.626
angles (deg): 100.86 100.86 100.86
Fractional coordinates of all 20 atoms:
O 0.600 0.366 0.135
Br 0.995 0.995 0.995
K 0.930 0.472 0.930
K 0.472 0.930 0.930
O 0.135 0.600 0.366
O 0.826 0.487 0.487
O 0.487 0.826 0.487
O 0.487 0.487 0.826
O 0.443 0.443 0.443
B 0.031 0.478 0.478
O 0.600 0.135 0.366
B 0.478 0.031 0.478
O 0.135 0.366 0.600
B 0.359 0.359 0.621
O 0.366 0.600 0.135
K 0.930 0.930 0.472
O 0.366 0.135 0.600
B 0.621 0.359 0.359
B 0.478 0.478 0.031
B 0.359 0.621 0.359

(7)
Sr5Mg | PBE | relaxed

Values from the calculation:
energy above the lowest structure with this stoichiometry	0.029	eV per atom

a b c (Å): 7.959 7.959 7.959
angles (deg): 52.93 52.93 52.93
Fractional coordinates of all 6 atoms:
Mg 0.500 0.500 0.500
Sr 0.834 0.834 0.834
Sr 0.000 0.662 0.338
Sr 0.338 0.000 0.662
Sr 0.662 0.338 0.000
Sr 0.166 0.166 0.166

(8)
CaAl2H8 | PBE | relaxed

Values from the calculation:
energy above the lowest structure with this stoichiometry	0.004	eV per atom

a b c (Å): 15.878 15.878 5.923
angles (deg): 90.00 90.00 120.00
Fractional coordinates of all 99 atoms:
H 0.077 0.949 0.215
H 0.721 0.460 0.265
H 0.903 0.320 0.451
H 0.611 0.208 0.720
Al 0.067 0.237 0.262
H 0.949 0.871 0.785
H 0.792 0.403 0.720
H 0.871 0.923 0.215
H 0.254 0.251 0.929
H 0.262 0.721 0.735
H 0.548 0.645 0.010
Al 0.501 0.401 0.746
H 0.649 0.802 0.778
Al 0.567 0.834 0.766
H 0.019 0.231 0.510
H 0.469 0.487 0.276
Al 0.100 0.501 0.254
H 0.573 0.666 0.455
H 0.983 0.469 0.724
H 0.460 0.738 0.735
H 0.746 0.749 0.071
Ca 0.334 0.334 0.250
H 0.923 0.051 0.785
H 0.251 0.997 0.071
H 0.097 0.680 0.549
Al 0.499 0.599 0.254
Al 0.237 0.170 0.738
H 0.674 0.561 0.005
H 0.208 0.597 0.280
Al 0.267 0.433 0.766
H 0.231 0.212 0.490
H 0.597 0.389 0.720
H 0.819 0.684 0.751
H 0.583 0.903 0.549
H 0.334 0.906 0.455
Ca 0.334 0.000 0.750
H 0.788 0.019 0.490
H 0.136 0.819 0.249
H 0.417 0.097 0.451
H 0.129 0.077 0.785
Al 0.733 0.567 0.234
H 0.097 0.452 0.010
H 0.561 0.887 0.995
H 0.316 0.136 0.751
H 0.439 0.113 0.005
H 0.094 0.427 0.455
H 0.887 0.326 0.005
H 0.513 0.983 0.276
Al 0.763 0.830 0.262
H 0.326 0.439 0.995
Al 0.166 0.733 0.766
H 0.997 0.746 0.929
H 0.212 0.981 0.510
Ca 0.333 0.667 0.509
H 0.531 0.513 0.724
H 0.389 0.792 0.280
Al 0.933 0.763 0.738
H 0.198 0.847 0.778
Al 0.599 0.100 0.746
H 0.769 0.788 0.510
H 0.153 0.351 0.778
Al 0.830 0.067 0.738
H 0.351 0.198 0.222
H 0.864 0.181 0.751
Al 0.900 0.499 0.746
Al 0.401 0.900 0.254
H 0.113 0.674 0.995
Ca 0.000 0.334 0.750
H 0.452 0.355 0.990
H 0.427 0.334 0.545
H 0.666 0.094 0.545
Al 0.834 0.267 0.234
H 0.749 0.003 0.929
H 0.279 0.540 0.735
Ca 0.000 0.666 0.250
H 0.802 0.153 0.222
H 0.680 0.583 0.451
Al 0.433 0.166 0.234
H 0.181 0.316 0.249
H 0.355 0.903 0.010
Ca 0.666 0.666 0.750
H 0.403 0.611 0.280
H 0.540 0.262 0.265
Ca 0.000 0.000 0.000
H 0.981 0.769 0.490
H 0.487 0.017 0.724
H 0.645 0.097 0.990
H 0.320 0.417 0.549
H 0.051 0.129 0.215
H 0.847 0.649 0.222
H 0.906 0.573 0.545
H 0.738 0.279 0.265
H 0.684 0.864 0.249
Ca 0.667 0.333 0.491
Ca 0.666 0.000 0.250
H 0.003 0.254 0.071
Al 0.170 0.933 0.262
H 0.017 0.531 0.276
H 0.903 0.548 0.990

(9)
Zr5Sb3P | PBE | relaxed

a b c (Å): 8.546 8.546 6.054
angles (deg): 90.00 90.00 120.00
Fractional coordinates of all 18 atoms:
Zr 0.667 0.333 0.500
Zr 0.751 0.000 0.250
Sb 0.401 0.401 0.750
Sb 0.000 0.401 0.250
Sb 0.599 0.000 0.750
Zr 0.000 0.249 0.750
Zr 0.333 0.667 0.500
Zr 0.249 0.249 0.250
Zr 0.751 0.751 0.750
Zr 0.333 0.667 0.000
Sb 0.599 0.599 0.250
Zr 0.667 0.333 0.000
P 0.000 0.000 0.500
Zr 0.249 0.000 0.750
Sb 0.000 0.599 0.750
P 0.000 0.000 0.000
Sb 0.401 0.000 0.250
Zr 0.000 0.751 0.250

no.,E_form (eV per atom)
1,-2.50
2,-0.93
3,-3.18
4,-0.92
5,-0.72
6,-2.71
7,0.06
8,-0.28
9,-0.90